LiSmAu2: optimized geometry, r2SCAN.

Computed properties:
E	-34.056	eV/atom
magnetic moment	0.00	μB/f.u.
V	20.85	Å³/atom
density	11.0	g/cm³

Lattice parameters (Å, degrees): 4.904 4.904 4.904 60.00 60.00 60.00
Positions (direct):
Au 0.500 0.500 0.500
Au 0.000 0.000 0.000
Sm 0.750 0.750 0.750
Li 0.250 0.250 0.250